No. 1
Material: LiV6O11F
Method: DFT, GGA+U
State: relaxed Values from VASP.

Properties
**E**: -7.460 eV per atom
**DFT formation energy**: -2.4840 eV/atom
**Spin magnetization**: 8.00 μB/f.u.
**V**: 11.48 A^3/atom
**Distance to the lowest polymorph of the same formula**: 0 meV/atom

Geometry as Quantum ESPRESSO input:
```
&SYSTEM
  ibrav = 0, nat = 19, ntyp = 4
/
ATOMIC_SPECIES
Li 6.94 Li.upf
V 50.94 V.upf
O 16.00 O.upf
F 19.00 F.upf
ATOMIC_POSITIONS angstrom
Li 1.155 3.378 2.894
V -0.476 5.009 0.043
V 4.900 -0.367 2.877
V -0.433 4.967 5.703
V 2.671 1.862 1.356
V 1.804 2.729 7.214
V 2.695 1.838 4.416
O 0.299 4.234 1.538
O 0.361 4.172 4.391
O 0.537 3.997 7.182
O 1.369 1.470 8.623
O 1.431 1.440 2.911
O 1.395 1.434 5.786
O 3.063 3.164 8.623
O 3.093 3.102 2.911
O 3.099 3.139 5.786
O 3.914 0.619 1.372
O 3.959 0.574 4.414
F 4.153 0.380 7.122
CELL_PARAMETERS angstrom
5.046 -0.513 -0.012
-0.513 5.046 0.012
-0.014 0.014 8.657
```

---

No. 2
Material: Li3V2P4H2O16
Method: DFT, GGA+U
State: relaxed Values from VASP.

Properties
**E**: -6.870 eV per atom
**DFT formation energy**: -2.5325 eV/atom
**Spin magnetization**: 3.00 μB/f.u.
**V**: 10.66 A^3/atom
**Distance to the lowest polymorph of the same formula**: 66 meV/atom

Geometry as Quantum ESPRESSO input:
```
&SYSTEM
  ibrav = 0, nat = 54, ntyp = 5
/
ATOMIC_SPECIES
Li 6.94 Li.upf
V 50.94 V.upf
P 30.97 P.upf
H 1.01 H.upf
O 16.00 O.upf
ATOMIC_POSITIONS angstrom
Li 0.514 2.899 4.577
Li -5.649 1.606 3.787
Li -2.997 2.550 7.137
Li -3.594 6.309 2.489
Li -0.916 7.329 5.812
Li -4.343 7.011 8.422
V -2.533 2.242 4.060
V -9.332 6.093 7.059
V 1.424 7.251 3.890
V -4.021 6.667 5.442
P -4.681 3.459 1.718
P 2.369 4.608 5.421
P -1.413 5.258 3.666
P -8.474 4.087 -0.056
P -5.101 3.663 5.869
P 1.900 4.832 9.629
P -1.857 5.437 7.908
P -8.962 4.286 4.198
H 0.235 5.017 6.633
H -6.939 3.968 3.053
H -5.058 4.295 8.093
H -6.561 8.831 9.501
O -0.030 0.895 0.855
O -1.331 1.291 3.034
O -3.901 0.686 4.105
O -1.687 1.521 5.857
O 2.266 3.781 4.041
O -4.802 2.671 0.405
O -3.427 3.048 2.538
O -1.221 3.763 4.135
O 1.061 4.264 6.155
O -5.943 3.117 2.534
O -3.732 3.084 5.306
O -6.226 2.765 5.371
O 0.693 3.980 9.193
O -1.490 5.389 2.139
O 2.519 6.086 5.061
O -4.566 4.985 1.368
O -1.962 3.903 8.202
O -9.032 2.771 4.466
O -4.922 3.505 7.414
O -0.291 6.144 4.235
O -7.351 5.009 0.500
O -2.771 5.751 4.215
O -0.594 5.779 7.065
O -7.707 4.654 3.348
O -5.269 5.110 5.425
O -3.100 5.961 7.174
O -1.684 6.199 9.233
O -8.888 5.023 5.581
O -4.879 7.394 3.713
O -2.664 8.246 5.488
O -5.254 7.592 6.711
O -6.492 8.020 8.772
CELL_PARAMETERS angstrom
5.635 5.620 5.064
-8.492 3.315 -2.426
-3.672 -0.036 6.967
```

---

No. 3
Material: MgMn3CuO8
Method: DFT, GGA+U
State: relaxed Values from VASP.

Properties
**E**: -6.613 eV per atom
**DFT formation energy**: -1.8230 eV/atom
**Spin magnetization**: 10.01 μB/f.u.
**V**: 11.49 A^3/atom
**Distance to the lowest polymorph of the same formula**: 8 meV/atom

Geometry as Quantum ESPRESSO input:
```
&SYSTEM
  ibrav = 0, nat = 13, ntyp = 4
/
ATOMIC_SPECIES
Mg 24.30 Mg.upf
Mn 54.94 Mn.upf
Cu 63.55 Cu.upf
O 16.00 O.upf
ATOMIC_POSITIONS angstrom
Mg -15.850 8.188 1.117
Mn -19.412 4.733 2.435
Mn -14.977 3.261 -0.045
Mn -9.686 3.105 -0.048
Cu -22.910 10.477 2.333
O -3.778 1.223 0.650
O -8.961 1.481 0.713
O -8.148 4.043 0.660
O -29.715 9.565 1.688
O -13.436 4.317 0.462
O -24.532 9.306 1.624
O -25.344 6.745 1.677
O -20.056 6.471 1.876
CELL_PARAMETERS angstrom
-8.789 5.899 -0.100
-10.582 0.311 0.004
-14.121 4.578 2.433
```

---

No. 4
Material: LiV2Si2O8
Method: DFT, GGA+U
State: relaxed Values from VASP.

Properties
**E**: -7.532 eV per atom
**DFT formation energy**: -2.7927 eV/atom
**Spin magnetization**: 0.00 μB/f.u.
**V**: 10.68 A^3/atom
**Distance to the lowest polymorph of the same formula**: 0 meV/atom

Geometry as Quantum ESPRESSO input:
```
&SYSTEM
  ibrav = 0, nat = 26, ntyp = 4
/
ATOMIC_SPECIES
Li 6.94 Li.upf
V 50.94 V.upf
Si 28.09 Si.upf
O 16.00 O.upf
ATOMIC_POSITIONS angstrom
Li 2.186 1.498 2.921
Li 4.051 6.011 2.914
V 1.857 4.511 1.336
V 3.700 9.027 4.570
V 3.722 9.024 1.329
V 1.835 4.514 4.577
Si -0.660 6.127 6.045
Si 4.223 6.114 6.062
Si 1.387 7.475 2.911
Si -0.479 2.962 2.917
O -1.470 5.579 4.712
O 3.413 5.567 4.729
O -1.384 5.612 1.111
O 3.499 5.599 1.128
O 2.227 8.039 4.206
O 0.361 3.527 4.213
O 2.141 7.962 1.586
O 0.276 3.449 1.593
O 2.398 3.269 6.021
O 4.264 7.782 6.014
O 0.896 5.522 6.009
O 5.779 5.510 6.026
O 2.829 3.499 2.995
O -2.054 3.512 2.978
O 1.286 5.810 2.984
O -0.580 1.297 2.991
CELL_PARAMETERS angstrom
-3.017 4.526 -0.024
-0.010 0.030 6.293
6.749 4.500 0.011
```